Record 1
Here is crystalline Na3SrLaZnSi6O17 at its relaxed geometry from the Materials Project database. Energies are from PBE.

Values from the calculation:
calculated volume: 13.3 Å³ per atom
calculated total energy: -829.12 eV for the cell shown

Cell: 14.609 5.272 19.985 Å, 90.00 90.00 90.00°
Fractional positions:
1 Na 0.000 0.000 0.000
2 Na 0.000 0.000 0.500
3 Na 0.076 0.005 0.171
4 Na 0.076 0.995 0.671
5 Na 0.424 0.005 0.671
6 Na 0.424 0.995 0.171
7 Na 0.500 0.000 0.000
8 Na 0.500 0.000 0.500
9 Na 0.576 0.005 0.829
10 Na 0.576 0.995 0.329
11 Na 0.924 0.005 0.329
12 Na 0.924 0.995 0.829
13 Sr 0.250 0.000 0.023
14 Sr 0.250 0.000 0.523
15 Sr 0.750 0.000 0.477
16 Sr 0.750 0.000 0.977
17 La 0.250 0.000 0.319
18 La 0.250 0.000 0.819
19 La 0.750 0.000 0.181
20 La 0.750 0.000 0.681
21 Zn 0.250 0.500 0.170
22 Zn 0.250 0.500 0.670
23 Zn 0.750 0.500 0.330
24 Zn 0.750 0.500 0.830
25 Si 0.099 0.466 0.065
26 Si 0.099 0.534 0.565
27 Si 0.103 0.465 0.774
28 Si 0.103 0.535 0.274
29 Si 0.111 0.451 0.419
30 Si 0.111 0.549 0.919
31 Si 0.389 0.451 0.919
32 Si 0.389 0.549 0.419
33 Si 0.397 0.465 0.274
34 Si 0.397 0.535 0.774
35 Si 0.401 0.466 0.565
36 Si 0.401 0.534 0.065
37 Si 0.599 0.466 0.935
38 Si 0.599 0.534 0.435
39 Si 0.603 0.465 0.226
40 Si 0.603 0.535 0.726
41 Si 0.611 0.451 0.581
42 Si 0.611 0.549 0.081
43 Si 0.889 0.451 0.081
44 Si 0.889 0.549 0.581
45 Si 0.897 0.465 0.726
46 Si 0.897 0.535 0.226
47 Si 0.901 0.466 0.435
48 Si 0.901 0.534 0.935
49 O 0.000 0.365 0.750
50 O 0.000 0.635 0.250
51 O 0.004 0.338 0.418
52 O 0.004 0.662 0.918
53 O 0.102 0.232 0.568
54 O 0.102 0.768 0.068
55 O 0.117 0.234 0.271
56 O 0.117 0.766 0.771
57 O 0.118 0.355 0.853
58 O 0.118 0.645 0.353
59 O 0.119 0.361 0.985
60 O 0.119 0.639 0.485
61 O 0.171 0.302 0.109
62 O 0.171 0.698 0.609
63 O 0.176 0.290 0.733
64 O 0.176 0.710 0.233
65 O 0.184 0.224 0.417
66 O 0.184 0.776 0.917
67 O 0.316 0.224 0.917
68 O 0.316 0.776 0.417
69 O 0.324 0.290 0.233
70 O 0.324 0.710 0.733
71 O 0.329 0.302 0.609
72 O 0.329 0.698 0.109
73 O 0.381 0.361 0.485
74 O 0.381 0.639 0.985
75 O 0.382 0.355 0.353
76 O 0.382 0.645 0.853
77 O 0.383 0.234 0.771
78 O 0.383 0.766 0.271
79 O 0.398 0.232 0.068
80 O 0.398 0.768 0.568
81 O 0.496 0.338 0.918
82 O 0.496 0.662 0.418
83 O 0.500 0.365 0.250
84 O 0.500 0.635 0.750
85 O 0.504 0.338 0.582
86 O 0.504 0.662 0.082
87 O 0.602 0.232 0.432
88 O 0.602 0.768 0.932
89 O 0.617 0.234 0.729
90 O 0.617 0.766 0.229
91 O 0.618 0.355 0.147
92 O 0.618 0.645 0.647
93 O 0.619 0.361 0.015
94 O 0.619 0.639 0.515
95 O 0.671 0.302 0.891
96 O 0.671 0.698 0.391
97 O 0.676 0.290 0.267
98 O 0.676 0.710 0.767
99 O 0.684 0.224 0.583
100 O 0.684 0.776 0.083
101 O 0.816 0.224 0.083
102 O 0.816 0.776 0.583
103 O 0.824 0.290 0.767
104 O 0.824 0.710 0.267
105 O 0.829 0.302 0.391
106 O 0.829 0.698 0.891
107 O 0.881 0.361 0.515
108 O 0.881 0.639 0.015
109 O 0.882 0.355 0.647
110 O 0.882 0.645 0.147
111 O 0.883 0.234 0.229
112 O 0.883 0.766 0.729
113 O 0.898 0.232 0.932
114 O 0.898 0.768 0.432
115 O 0.996 0.338 0.082
116 O 0.996 0.662 0.582



Record 2
Here is crystalline Na14La3Ta5Si12O48 at its relaxed geometry from the Materials Project database. Energies are from PBE.

Values from the calculation:
calculated volume: 13.8 Å³ per atom
calculated total energy: -1833.16 eV for the cell shown

Cell: 9.349 16.231 22.452 Å, 90.05 90.03 90.03°
Fractional positions:
1 Na 0.000 0.000 0.000
2 Na 0.000 0.670 0.332
3 Na 0.002 0.341 0.671
4 Na 0.017 0.034 0.331
5 Na 0.018 0.370 0.000
6 Na 0.132 0.532 0.831
7 Na 0.133 0.872 0.501
8 Na 0.136 0.202 0.166
9 Na 0.144 0.499 0.501
10 Na 0.150 0.840 0.169
11 Na 0.152 0.170 0.830
12 Na 0.191 0.861 0.830
13 Na 0.197 0.193 0.501
14 Na 0.318 0.681 0.751
15 Na 0.324 0.359 0.085
16 Na 0.325 0.022 0.413
17 Na 0.325 0.022 0.911
18 Na 0.332 0.680 0.250
19 Na 0.333 0.355 0.589
20 Na 0.461 0.859 0.333
21 Na 0.464 0.195 0.997
22 Na 0.496 0.170 0.331
23 Na 0.500 0.505 0.998
24 Na 0.503 0.841 0.671
25 Na 0.514 0.868 0.997
26 Na 0.516 0.532 0.332
27 Na 0.632 0.032 0.831
28 Na 0.633 0.372 0.500
29 Na 0.645 0.000 0.501
30 Na 0.651 0.338 0.166
31 Na 0.652 0.670 0.830
32 Na 0.688 0.026 0.165
33 Na 0.688 0.362 0.830
34 Na 0.697 0.693 0.501
35 Na 0.817 0.851 0.085
36 Na 0.818 0.181 0.752
37 Na 0.825 0.189 0.247
38 Na 0.825 0.520 0.411
39 Na 0.825 0.521 0.911
40 Na 0.833 0.855 0.590
41 Na 0.952 0.692 0.001
42 Na 0.959 0.363 0.329
43 La 0.323 0.358 0.929
44 La 0.324 0.024 0.755
45 La 0.325 0.355 0.437
46 La 0.329 0.016 0.260
47 La 0.822 0.529 0.256
48 La 0.824 0.524 0.753
49 La 0.824 0.855 0.439
50 La 0.825 0.189 0.095
51 La 0.827 0.852 0.932
52 Ta 0.322 0.358 0.234
53 Ta 0.324 0.021 0.068
54 Ta 0.324 0.022 0.570
55 Ta 0.324 0.686 0.606
56 Ta 0.324 0.688 0.398
57 Ta 0.325 0.688 0.898
58 Ta 0.326 0.685 0.105
59 Ta 0.328 0.354 0.733
60 Ta 0.823 0.186 0.606
61 Ta 0.823 0.522 0.570
62 Ta 0.825 0.188 0.901
63 Ta 0.825 0.189 0.397
64 Ta 0.825 0.851 0.234
65 Ta 0.827 0.522 0.069
66 Ta 0.828 0.855 0.733
67 Si 0.018 0.016 0.171
68 Si 0.019 0.352 0.836
69 Si 0.038 0.679 0.504
70 Si 0.126 0.849 0.338
71 Si 0.130 0.181 0.004
72 Si 0.136 0.520 0.670
73 Si 0.168 0.549 0.003
74 Si 0.168 0.867 0.669
75 Si 0.169 0.207 0.337
76 Si 0.172 0.177 0.669
77 Si 0.179 0.508 0.338
78 Si 0.192 0.834 0.005
79 Si 0.455 0.836 0.505
80 Si 0.468 0.177 0.171
81 Si 0.471 0.509 0.835
82 Si 0.482 0.549 0.504
83 Si 0.482 0.866 0.168
84 Si 0.483 0.206 0.837
85 Si 0.516 0.520 0.170
86 Si 0.522 0.851 0.835
87 Si 0.538 0.180 0.504
88 Si 0.612 0.680 0.004
89 Si 0.626 0.352 0.337
90 Si 0.635 0.020 0.670
91 Si 0.663 0.039 0.004
92 Si 0.667 0.706 0.339
93 Si 0.668 0.367 0.669
94 Si 0.673 0.677 0.669
95 Si 0.684 0.007 0.337
96 Si 0.684 0.345 0.004
97 Si 0.956 0.336 0.505
98 Si 0.970 0.007 0.838
99 Si 0.979 0.676 0.169
100 Si 0.981 0.704 0.837
101 Si 0.982 0.050 0.504
102 Si 0.985 0.374 0.172
103 O 0.002 0.196 0.656
104 O 0.002 0.507 0.618
105 O 0.004 0.173 0.949
106 O 0.005 0.842 0.282
107 O 0.010 0.525 0.331
108 O 0.019 0.845 0.008
109 O 0.045 0.865 0.401
110 O 0.057 0.197 0.067
111 O 0.066 0.540 0.733
112 O 0.092 0.371 0.900
113 O 0.098 0.029 0.234
114 O 0.127 0.346 0.508
115 O 0.139 0.024 0.828
116 O 0.142 0.671 0.443
117 O 0.144 0.341 0.782
118 O 0.145 0.006 0.116
119 O 0.148 0.697 0.156
120 O 0.155 0.683 0.557
121 O 0.160 0.043 0.510
122 O 0.160 0.709 0.839
123 O 0.162 0.373 0.176
124 O 0.174 0.132 0.733
125 O 0.193 0.461 0.401
126 O 0.210 0.605 0.942
127 O 0.211 0.758 0.340
128 O 0.213 0.089 0.007
129 O 0.215 0.273 0.282
130 O 0.216 0.937 0.615
131 O 0.219 0.430 0.673
132 O 0.226 0.113 0.330
133 O 0.229 0.605 0.057
134 O 0.232 0.775 0.654
135 O 0.234 0.238 0.400
136 O 0.236 0.457 0.007
137 O 0.239 0.924 0.334
138 O 0.240 0.257 0.997
139 O 0.241 0.778 0.060
140 O 0.244 0.596 0.654
141 O 0.252 0.117 0.617
142 O 0.252 0.891 0.729
143 O 0.253 0.268 0.674
144 O 0.258 0.449 0.285
145 O 0.258 0.786 0.944
146 O 0.272 0.926 0.011
147 O 0.275 0.595 0.340
148 O 0.375 0.264 0.174
149 O 0.376 0.597 0.838
150 O 0.376 0.928 0.510
151 O 0.390 0.786 0.445
152 O 0.392 0.448 0.783
153 O 0.393 0.117 0.116
154 O 0.403 0.886 0.230
155 O 0.404 0.779 0.560
156 O 0.405 0.595 0.154
157 O 0.410 0.459 0.508
158 O 0.413 0.928 0.829
159 O 0.420 0.774 0.153
160 O 0.421 0.237 0.899
161 O 0.422 0.113 0.829
162 O 0.423 0.607 0.558
163 O 0.432 0.273 0.783
164 O 0.435 0.760 0.839
165 O 0.436 0.428 0.174
166 O 0.437 0.938 0.116
167 O 0.438 0.260 0.508
168 O 0.440 0.094 0.511
169 O 0.441 0.605 0.443
170 O 0.453 0.129 0.233
171 O 0.460 0.465 0.899
172 O 0.484 0.041 0.007
173 O 0.488 0.710 0.340
174 O 0.493 0.366 0.676
175 O 0.495 0.684 0.057
176 O 0.502 0.007 0.618
177 O 0.502 0.697 0.655
178 O 0.504 0.341 0.281
179 O 0.507 0.671 0.943
180 O 0.514 0.024 0.332
181 O 0.515 0.363 0.997
182 O 0.547 0.368 0.399
183 O 0.565 0.040 0.733
184 O 0.581 0.543 0.233
185 O 0.603 0.865 0.898
186 O 0.626 0.847 0.509
187 O 0.637 0.195 0.165
188 O 0.640 0.525 0.826
189 O 0.642 0.171 0.443
190 O 0.643 0.841 0.779
191 O 0.648 0.508 0.118
192 O 0.655 0.183 0.557
193 O 0.658 0.870 0.175
194 O 0.660 0.543 0.510
195 O 0.662 0.208 0.841
196 O 0.674 0.633 0.732
197 O 0.696 0.300 0.067
198 O 0.699 0.959 0.400
199 O 0.709 0.595 0.011
200 O 0.712 0.107 0.950
201 O 0.712 0.261 0.340
202 O 0.713 0.761 0.007
203 O 0.716 0.437 0.615
204 O 0.719 0.772 0.284
205 O 0.720 0.930 0.673
206 O 0.723 0.069 0.067
207 O 0.723 0.947 0.998
208 O 0.726 0.613 0.333
209 O 0.730 0.738 0.402
210 O 0.732 0.275 0.654
211 O 0.735 0.428 0.329
212 O 0.744 0.096 0.654
213 O 0.751 0.391 0.729
214 O 0.752 0.617 0.617
215 O 0.754 0.768 0.673
216 O 0.755 0.950 0.281
217 O 0.759 0.285 0.949
218 O 0.776 0.095 0.339
219 O 0.778 0.433 0.007
220 O 0.876 0.095 0.842
221 O 0.877 0.428 0.510
222 O 0.890 0.286 0.445
223 O 0.891 0.948 0.784
224 O 0.893 0.766 0.175
225 O 0.899 0.617 0.117
226 O 0.905 0.279 0.561
227 O 0.909 0.427 0.827
228 O 0.910 0.092 0.166
229 O 0.911 0.959 0.509
230 O 0.916 0.405 0.233
231 O 0.918 0.730 0.901
232 O 0.922 0.612 0.828
233 O 0.923 0.107 0.558
234 O 0.928 0.280 0.166
235 O 0.929 0.774 0.785
236 O 0.932 0.438 0.115
237 O 0.932 0.926 0.174
238 O 0.936 0.260 0.842
239 O 0.938 0.760 0.509
240 O 0.940 0.594 0.511
241 O 0.941 0.106 0.443
242 O 0.960 0.960 0.901
243 O 0.979 0.633 0.234
244 O 0.989 0.210 0.340
245 O 0.990 0.545 0.010
246 O 0.994 0.866 0.677